Li3CrP2HO8: optimized geometry, PBE with a Hubbard U.

Computed properties:
- Total magnetization: 0.000 μB per cell
- Total energy after the MP2020 corrections: -7.10 eV per atom
- E_form: -2485.0 meV/atom
- Energy: -6.598 eV/atom

a b c (Å): 8.090 11.167 8.240
angles (deg): 110.33 117.62 91.70
Atoms (fractional coordinates):
O  0.090  0.429  0.241
O  0.727  0.484  0.270
O  0.410  0.321  0.009
O  0.516  0.907  0.882
O  0.016  0.657  0.132
O  0.984  0.843  0.368
O  0.412  0.555  0.198
O  0.588  0.945  0.302
O  0.727  0.984  0.770
O  0.588  0.445  0.802
O  0.090  0.929  0.741
O  0.590  0.679  0.991
O  0.412  0.055  0.698
O  0.912  0.805  0.948
O  0.088  0.695  0.552
O  0.484  0.593  0.618
O  0.773  0.266  0.980
O  0.088  0.195  0.052
O  0.910  0.571  0.759
O  0.410  0.821  0.509
O  0.273  0.016  0.230
O  0.484  0.093  0.118
O  0.912  0.305  0.448
O  0.910  0.071  0.259
O  0.227  0.734  0.020
O  0.984  0.343  0.868
O  0.273  0.516  0.730
O  0.773  0.766  0.480
O  0.227  0.234  0.520
O  0.516  0.407  0.382
O  0.016  0.157  0.632
O  0.590  0.179  0.491
P  0.517  0.441  0.211
P  0.517  0.941  0.711
P  0.017  0.191  0.461
P  0.483  0.059  0.289
P  0.983  0.809  0.539
P  0.983  0.309  0.039
P  0.483  0.559  0.789
P  0.017  0.691  0.961
Cr  0.500  0.750  0.250
Cr  0.000  0.500  0.500
Cr  0.500  0.250  0.750
Cr  0.000  0.000  0.000
Li  0.205  0.468  0.909
Li  0.795  0.032  0.591
Li  0.295  0.282  0.341
Li  0.250  0.125  0.875
Li  0.750  0.875  0.125
Li  0.750  0.375  0.625
Li  0.795  0.532  0.091
Li  0.205  0.968  0.409
Li  0.705  0.718  0.659
Li  0.705  0.218  0.158
Li  0.250  0.625  0.375
Li  0.295  0.782  0.842
H  0.000  0.250  0.750
H  0.000  0.750  0.250
H  0.500  0.500  0.500
H  0.500  0.000  0.000